1.
The following is a DFT calculation (PBE) of a relaxed SmCo4Ag crystal.

```
SmCo4Ag
1.0
5.1044 0.0000 0.0000
-2.5522 4.4205 0.0000
0.0000 0.0000 4.1405
Sm Co Ag
1 4 1
Direct
0.0000 0.0000 0.0000 Sm
0.5088 0.0176 0.5000 Co
0.5088 0.4912 0.5000 Co
0.6667 0.3333 0.0000 Co
0.9824 0.4912 0.5000 Co
0.3333 0.6667 0.0000 Ag
```

Computed properties:
Total magnetization   0.89 μB per atom



2.
The following is a DFT calculation (PBE) of a relaxed RbPdCl3 crystal.

```
RbPdCl3
1.0
5.0065 0.0000 0.0000
0.0000 5.0065 0.0000
0.0000 0.0000 5.0065
Rb Pd Cl
1 1 3
Direct
0.0000 0.0000 0.0000 Rb
0.5000 0.5000 0.5000 Pd
0.0000 0.5000 0.5000 Cl
0.5000 0.0000 0.5000 Cl
0.5000 0.5000 0.0000 Cl
```

Computed properties:
Energy with MP2020 corrections   -3.78 eV/atom



3.
The following is a DFT calculation (PBE) of a relaxed Tl3Fe crystal.

```
Tl3Fe
1.0
4.5614 0.0000 0.0000
0.0000 4.5614 0.0000
0.0000 0.0000 4.5614
Tl Fe
3 1
Direct
0.0000 0.0000 0.5000 Tl
0.0000 0.5000 0.0000 Tl
0.5000 0.0000 0.0000 Tl
0.5000 0.5000 0.5000 Fe
```

Computed properties:
Total magnetization   0.74 μB per atom



4.
The following is a DFT calculation (PBE) of a relaxed Na3Sc3TaP5SO24 crystal.

```
Na3Sc3TaP5SO24
1.0
8.8386 0.0000 0.0000
-4.4058 7.6750 0.0000
-0.0219 -0.0341 22.9859
Na Sc Ta P S O
9 9 3 15 3 72
Direct
0.0000 0.0000 0.0000 Na
0.0030 0.9892 0.4972 Na
0.0242 0.3273 0.5801 Na
0.3362 0.6609 0.1604 Na
0.3397 0.0268 0.9145 Na
0.3469 0.6712 0.6667 Na
0.3684 0.9959 0.2427 Na
0.6795 0.3436 0.3294 Na
0.6848 0.3479 0.8267 Na
0.0079 0.0005 0.1426 Sc
0.3341 0.6566 0.8095 Sc
0.3347 0.6596 0.3083 Sc
0.3356 0.6716 0.0114 Sc
0.6666 0.3327 0.4749 Sc
0.6682 0.3343 0.9755 Sc
0.6692 0.3312 0.1822 Sc
0.6742 0.3393 0.6796 Sc
0.9958 0.9935 0.6415 Sc
0.0002 0.9995 0.3485 Ta
0.3407 0.6704 0.5122 Ta
0.9915 0.9985 0.8467 Ta
0.0001 0.7091 0.2449 P
0.0016 0.2916 0.7423 P
0.0421 0.6651 0.9090 P
0.0450 0.3754 0.4105 P
0.2899 0.2893 0.2443 P
0.3343 0.3728 0.9107 P
0.3353 0.9570 0.4086 P
0.3752 0.0381 0.0776 P
0.3779 0.3332 0.5768 P
0.6253 0.9566 0.9104 P
0.6275 0.6666 0.4096 P
0.6657 0.0416 0.5772 P
0.7091 0.7069 0.7437 P
0.7136 0.9987 0.2437 P
0.9620 0.6259 0.5757 P
0.2927 0.9995 0.7453 S
0.6683 0.6257 0.0780 S
0.9622 0.3334 0.0776 S
0.0259 0.2087 0.6872 O
0.0292 0.8378 0.8992 O
0.0326 0.8245 0.1917 O
0.0338 0.1923 0.4037 O
0.1280 0.6422 0.8552 O
0.1329 0.4856 0.3575 O
0.1381 0.4897 0.0727 O
0.1482 0.6400 0.5660 O
0.1612 0.4622 0.4665 O
0.1607 0.7118 0.9631 O
0.1631 0.9681 0.4041 O
0.1635 0.4707 0.7504 O
0.1676 0.6989 0.2523 O
0.1702 0.1823 0.9000 O
0.1813 0.2035 0.1904 O
0.1866 0.9781 0.6937 O
0.1881 0.1816 0.5829 O
0.1924 0.0207 0.0815 O
0.1937 0.1684 0.2991 O
0.2042 0.0182 0.7994 O
0.2980 0.4478 0.9650 O
0.3087 0.8354 0.4628 O
0.3095 0.8432 0.7511 O
0.3109 0.4696 0.2508 O
0.3545 0.5006 0.5669 O
0.3569 0.8750 0.3535 O
0.3585 0.8554 0.0728 O
0.3620 0.4813 0.8564 O
0.4601 0.3075 0.5227 O
0.4629 0.1464 0.0222 O
0.4642 0.1598 0.7425 O
0.4669 0.2932 0.2423 O
0.4844 0.1268 0.1333 O
0.4878 0.3368 0.9167 O
0.4884 0.3687 0.6318 O
0.4906 0.1369 0.4178 O
0.5017 0.8549 0.5666 O
0.5085 0.6397 0.0729 O
0.5118 0.8754 0.8569 O
0.5187 0.6447 0.3562 O
0.5290 0.8415 0.2510 O
0.5321 0.6952 0.7510 O
0.5359 0.6945 0.4645 O
0.5524 0.8453 0.9651 O
0.6313 0.1169 0.6323 O
0.6491 0.1402 0.9175 O
0.6491 0.5208 0.1304 O
0.6532 0.5115 0.4178 O
0.6924 0.5439 0.0254 O
0.6960 0.1645 0.2420 O
0.6987 0.1552 0.5237 O
0.6987 0.5286 0.7425 O
0.7993 0.9748 0.1904 O
0.7996 0.8174 0.6904 O
0.8097 0.8385 0.4043 O
0.8131 0.9789 0.9010 O
0.8241 0.8014 0.0824 O
0.8283 0.0196 0.5830 O
0.8285 0.8077 0.7987 O
0.8300 0.0189 0.2993 O
0.8314 0.2980 0.7423 O
0.8354 0.5309 0.2415 O
0.8532 0.5410 0.5220 O
0.8577 0.3135 0.0251 O
0.8589 0.5113 0.9172 O
0.8633 0.3488 0.4182 O
0.8797 0.3572 0.1302 O
0.8911 0.5085 0.6301 O
0.9771 0.1745 0.0820 O
0.9804 0.8072 0.3000 O
0.9875 0.1711 0.7965 O
0.9932 0.8107 0.5832 O
```

Computed properties:
Total magnetization   0.00 μB per atom
Energy with MP2020 corrections   -7.99 eV/atom



Number 1: calculated formation energy 0.064 eV per atom. Number 2: calculated formation energy -1.437 eV per atom. Number 3: calculated formation energy 0.593 eV per atom. Number 4: calculated formation energy -2.996 eV per atom.